# 1
A plane-wave DFT calculation with meta-GGA r2SCAN was carried out for a relaxed CeCdHg2 crystal.

Properties
The value obtained for the formation energy from the elements is -45 kJ/mol of atoms.

```
CeCdHg2
1.0
0.0000 3.6611 3.6611
3.6611 0.0000 3.6611
3.6611 3.6611 0.0000
Hg Cd Ce
2 1 1
Direct
0.7500 0.7500 0.7500
0.2500 0.2500 0.2500
0.5000 0.5000 0.5000
0.0000 0.0000 0.0000
```

# 2
A plane-wave DFT calculation with meta-GGA r2SCAN was carried out for a relaxed CeCdIn crystal.

Properties
The value obtained for the formation energy from the elements is -49 kJ/mol of atoms.

```
CeCdIn
1.0
0.5264 2.0887 -4.4404
-4.2493 -2.2032 1.2025
-2.7072 6.7892 2.8727
In Ce Cd
2 2 2
Direct
0.6667 0.3333 0.0528
0.3333 0.6667 0.9472
0.0000 0.0000 0.7367
0.0000 0.0000 0.2633
0.6667 0.3333 0.4724
0.3333 0.6667 0.5276
```

# 3
A plane-wave DFT calculation with meta-GGA r2SCAN was carried out for a relaxed Ce2CdPd2 crystal.

Properties
The value obtained for the formation energy from the elements is -67 kJ/mol of atoms.

```
Ce2CdPd2
1.0
3.8569 0.0000 0.0000
0.0000 7.8214 -0.0002
0.0000 -0.0002 7.8214
Cd Ce Pd
2 4 4
Direct
0.0000 0.0000 0.0000
0.0000 0.5000 0.5000
0.5000 0.8264 0.3264
0.5000 0.1736 0.6736
0.5000 0.6734 0.8266
0.5000 0.3266 0.1734
0.0000 0.6293 0.1293
0.0000 0.8706 0.6294
0.0000 0.3707 0.8707
0.0000 0.1294 0.3706
```

# 4
A plane-wave DFT calculation with meta-GGA r2SCAN was carried out for a relaxed CeCdPt crystal.

Properties
The value obtained for the formation energy from the elements is -86 kJ/mol of atoms.

```
CeCdPt
1.0
3.8319 -6.6390 0.0000
3.8336 6.6400 0.0000
0.0000 0.0000 4.0825
Ce Pt Cd
3 3 3
Direct
0.4066 0.4087 0.0000
0.0000 0.5914 0.0000
0.5934 0.0021 0.0000
0.6704 0.3357 0.5000
0.0000 0.9972 0.0000
0.3296 0.6654 0.5000
0.7500 0.7512 0.5000
0.2500 0.0012 0.5000
0.0000 0.2471 0.5000
```

# 5
A plane-wave DFT calculation with meta-GGA r2SCAN was carried out for a relaxed Ce2CdSb4 crystal.

Properties
The value obtained for the formation energy from the elements is -82 kJ/mol of atoms.

```
Ce2CdSb4
1.0
-3.1920 1.1977 -2.7580
2.4969 -1.1850 -3.4044
-4.1021 -9.9141 0.4423
Cd Sb Ce
1 4 2
Direct
0.5000 0.5000 0.5002
0.0000 0.5000 0.6715
0.5000 0.5000 0.0001
0.0000 0.0000 0.0001
0.5000 0.0000 0.3282
0.5000 0.0000 0.7646
0.0000 0.5000 0.2354
```

# 6
A plane-wave DFT calculation with meta-GGA r2SCAN was carried out for a relaxed CsCdCl3 crystal.

Properties
The value obtained for the formation energy from the elements is -164 kJ/mol of atoms.

```
CsCdCl3
1.0
3.7333 -6.4661 0.0000
3.7332 6.4661 0.0000
0.0000 0.0000 18.5753
Cl Cd Cs
18 6 6
Direct
0.4935 0.5065 0.7500
0.5065 0.4935 0.2500
0.1656 0.3312 0.5819
0.8344 0.1656 0.0819
0.8344 0.1656 0.4181
0.8344 0.6688 0.0819
0.8344 0.6688 0.4181
0.6688 0.8344 0.9181
0.1656 0.8344 0.9181
0.9869 0.4935 0.2500
0.0131 0.5065 0.7500
0.1656 0.3312 0.9181
0.4935 0.9869 0.7500
0.3312 0.1656 0.0819
0.5065 0.0131 0.2500
0.3312 0.1656 0.4181
0.1656 0.8344 0.5819
0.6688 0.8344 0.5819
0.0000 0.0000 0.5000
0.6667 0.3333 0.1602
0.6667 0.3333 0.3398
0.3333 0.6667 0.8398
0.0000 0.0000 0.0000
0.3333 0.6667 0.6602
0.0000 0.0000 0.7500
0.0000 0.0000 0.2500
0.6667 0.3333 0.5879
0.6667 0.3333 0.9121
0.3333 0.6667 0.4121
0.3333 0.6667 0.0879
```

# 7
A plane-wave DFT calculation with meta-GGA r2SCAN was carried out for a relaxed CsCdCl3 crystal.

Properties
The value obtained for the formation energy from the elements is -164 kJ/mol of atoms.

```
CsCdCl3
1.0
5.2644 0.0000 0.0000
0.0000 5.2644 0.0000
0.0000 0.0000 5.2644
Cl Cs Cd
3 1 1
Direct
0.5000 0.5000 0.0000
0.5000 0.0000 0.5000
0.0000 0.5000 0.5000
0.0000 0.0000 0.0000
0.5000 0.5000 0.5000
```

# 8
A plane-wave DFT calculation with meta-GGA r2SCAN was carried out for a relaxed CdGa2Cl8 crystal.

Properties
The value obtained for the formation energy from the elements is -121 kJ/mol of atoms.

```
CdGa2Cl8
1.0
6.7108 0.0000 0.0000
0.0000 7.1246 -0.0391
0.0000 0.6151 12.9898
Cl Ga Cd
16 4 2
Direct
0.0607 0.4861 0.9909
0.6317 0.1272 0.6202
0.4161 0.6061 0.6351
0.4420 0.8644 0.8670
0.5580 0.8644 0.3670
0.1190 0.7347 0.2577
0.3683 0.1272 0.1202
0.9393 0.4861 0.4909
0.0725 0.2362 0.7336
0.9275 0.2362 0.2336
0.4351 0.3761 0.3773
0.0862 0.9969 0.4994
0.5839 0.6061 0.1351
0.5649 0.3761 0.8773
0.8810 0.7347 0.7577
0.9138 0.9969 0.9994
0.9346 0.2279 0.5777
0.0654 0.2279 0.0777
0.4300 0.6352 0.2760
0.5700 0.6352 0.7760
0.2440 0.0765 0.3172
0.7560 0.0765 0.8172
```